No. 1
A plane-wave DFT calculation with GGA-PBE was carried out for LiSiBiO4 after structural relaxation.

Unit cell a=10.575 b=5.355 c=14.877 alpha=90.00 beta=90.00 gamma=90.00
Space group Pca2_1 (No. 29)
Unique sites:
Li: 0.028 0.052 0.000 (multiplicity 4)
Li: 0.212 0.549 0.251 (multiplicity 4)
Si: 0.034 0.444 0.623 (multiplicity 4)
Si: 0.216 0.069 0.376 (multiplicity 4)
Bi: 0.032 0.941 0.749 (multiplicity 4)
Bi: 0.212 0.556 0.000 (multiplicity 4)
O: 0.010 0.847 0.112 (multiplicity 4)
O: 0.017 0.409 0.031 (multiplicity 4)
O: 0.034 0.441 0.215 (multiplicity 4)
O: 0.061 0.033 0.385 (multiplicity 4)
O: 0.187 0.492 0.635 (multiplicity 4)
O: 0.211 0.972 0.968 (multiplicity 4)
O: 0.239 0.904 0.787 (multiplicity 4)
O: 0.248 0.366 0.864 (multiplicity 4)

=====

No. 2
A plane-wave DFT calculation with GGA-PBE was carried out for Pu2Se3 after structural relaxation.

Unit cell a=11.107 b=4.102 c=10.974 alpha=90.00 beta=90.00 gamma=90.00
Space group Pnma (No. 62)
Unique sites:
Pu: 0.004 0.250 0.185 (multiplicity 4)
Pu: 0.188 0.250 0.507 (multiplicity 4)
Se: 0.050 0.750 0.370 (multiplicity 4)
Se: 0.125 0.250 0.945 (multiplicity 4)
Se: 0.232 0.750 0.704 (multiplicity 4)

=====

In order of appearance, corrected total energy (MP2020 scheme) = -6.892 -9.625 eV/atom.
In order of appearance, energy above the lowest structure with this stoichiometry = 6.2 0.0 kJ per mole of atoms.
In order of appearance, energy relative to the elements = -2.461 -1.821 eV/atom.